This record from Materials Project describes a relaxed structure of LaCo2. The functional is PBE-GGA. Values from VASP.

## Properties
E_form: -0.046 eV per atom
E_tot: -6.4305 eV per atom
V: 99.3 Å³/cell

The structure in Quantum ESPRESSO input format:
```
&SYSTEM
  ibrav = 0, nat = 6, ntyp = 2
/
ATOMIC_SPECIES
La 138.91 La.upf
Co 58.93 Co.upf
CELL_PARAMETERS angstrom
-3.675 -3.675 0.000
-3.675 0.000 -3.675
0.000 -3.675 -3.675
ATOMIC_POSITIONS crystal
La 0.750 0.750 0.750
La 0.000 0.000 0.000
Co 0.875 0.375 0.375
Co 0.375 0.875 0.375
Co 0.375 0.375 0.875
Co 0.375 0.375 0.375
```

---

This record from Materials Project describes a relaxed structure of Na5Dy4Si4O16F. The functional is PBE-GGA. Values from VASP.

## Properties
E_form: -3.324 eV per atom
E_tot: -7.2031 eV per atom
V: 371.0 Å³/cell

The structure in Quantum ESPRESSO input format:
```
&SYSTEM
  ibrav = 0, nat = 30, ntyp = 5
/
ATOMIC_SPECIES
Na 22.99 Na.upf
Dy 162.50 Dy.upf
Si 28.09 Si.upf
O 16.00 O.upf
F 19.00 F.upf
CELL_PARAMETERS angstrom
-5.841 5.841 2.718
5.841 -5.841 2.718
5.841 5.841 -2.718
ATOMIC_POSITIONS crystal
Na 0.598 0.904 0.515
Na 0.388 0.082 0.485
Na 0.096 0.612 0.694
Na 0.918 0.402 0.306
Na 0.500 0.500 0.000
Dy 0.160 0.862 0.067
Dy 0.795 0.093 0.933
Dy 0.138 0.205 0.298
Dy 0.907 0.840 0.702
Si 0.407 0.758 0.143
Si 0.614 0.264 0.857
Si 0.242 0.386 0.650
Si 0.736 0.593 0.350
O 0.378 0.874 0.278
O 0.596 0.100 0.722
O 0.126 0.404 0.504
O 0.900 0.622 0.496
O 0.216 0.452 0.139
O 0.313 0.077 0.861
O 0.548 0.687 0.764
O 0.923 0.784 0.236
O 0.724 0.964 0.172
O 0.792 0.553 0.828
O 0.036 0.208 0.760
O 0.447 0.276 0.240
O 0.329 0.768 0.967
O 0.800 0.362 0.033
O 0.232 0.200 0.561
O 0.638 0.671 0.439
F 0.000 0.000 0.000
```

---

This record from Materials Project describes a relaxed structure of KEuZr4O12. The functional is PBE-GGA. Values from VASP.

## Properties
E_form: -2.885 eV per atom
E_tot: -8.2571 eV per atom
V: 284.9 Å³/cell

The structure in Quantum ESPRESSO input format:
```
&SYSTEM
  ibrav = 0, nat = 18, ntyp = 4
/
ATOMIC_SPECIES
K 39.10 K.upf
Eu 151.96 Eu.upf
Zr 91.22 Zr.upf
O 16.00 O.upf
CELL_PARAMETERS angstrom
0.000 -4.117 -4.088
0.000 -4.117 4.088
-8.464 0.000 0.000
ATOMIC_POSITIONS crystal
K 0.976 0.024 0.000
Eu 0.520 0.480 0.500
Zr 0.490 0.989 0.237
Zr 0.490 0.989 0.763
Zr 0.011 0.510 0.763
Zr 0.011 0.510 0.237
O 0.209 0.209 0.260
O 0.791 0.791 0.260
O 0.791 0.791 0.740
O 0.209 0.209 0.740
O 0.311 0.689 0.312
O 0.700 0.300 0.220
O 0.700 0.300 0.780
O 0.311 0.689 0.688
O 0.459 0.947 0.000
O 0.532 0.078 0.500
O 0.053 0.541 0.000
O 0.922 0.468 0.500
```

---

This record from Materials Project describes a relaxed structure of Mg3As2O8. The functional is PBE-GGA. Values from VASP.

## Properties
E_form: -2.430 eV per atom
E_tot: -6.1382 eV per atom
V: 290.8 Å³/cell

The structure in Quantum ESPRESSO input format:
```
&SYSTEM
  ibrav = 0, nat = 26, ntyp = 3
/
ATOMIC_SPECIES
Mg 24.30 Mg.upf
As 74.92 As.upf
O 16.00 O.upf
CELL_PARAMETERS angstrom
-1.750 6.208 0.688
1.709 -2.651 -5.668
-7.917 -2.075 -1.417
ATOMIC_POSITIONS crystal
Mg 0.111 0.389 0.250
Mg 0.389 0.111 0.750
Mg 0.000 0.000 0.000
Mg 0.500 0.500 0.500
Mg 0.889 0.611 0.750
Mg 0.611 0.889 0.250
As 0.880 0.120 0.615
As 0.120 0.880 0.385
As 0.620 0.380 0.115
As 0.380 0.620 0.885
O 0.351 0.114 0.500
O 0.114 0.351 0.500
O 0.386 0.149 0.000
O 0.149 0.386 0.000
O 0.999 0.001 0.250
O 0.501 0.499 0.750
O 0.747 0.253 0.227
O 0.753 0.247 0.727
O 0.253 0.747 0.773
O 0.247 0.753 0.273
O 0.499 0.501 0.250
O 0.001 0.999 0.750
O 0.851 0.614 0.000
O 0.614 0.851 0.000
O 0.886 0.649 0.500
O 0.649 0.886 0.500
```

---

This record from Materials Project describes a relaxed structure of TiCuGe. The functional is PBE-GGA. Values from VASP.

## Properties
E_form: -0.423 eV per atom
E_tot: -5.9626 eV per atom
V: 175.9 Å³/cell

The structure in Quantum ESPRESSO input format:
```
&SYSTEM
  ibrav = 0, nat = 12, ntyp = 3
/
ATOMIC_SPECIES
Ti 47.87 Ti.upf
Cu 63.55 Cu.upf
Ge 72.64 Ge.upf
CELL_PARAMETERS angstrom
-1.888 3.265 0.505
-5.080 -3.225 1.860
2.359 0.290 6.945
ATOMIC_POSITIONS crystal
Ti 0.250 0.025 0.819
Ti 0.250 0.525 0.681
Ti 0.750 0.975 0.181
Ti 0.750 0.475 0.319
Cu 0.250 0.149 0.437
Cu 0.250 0.649 0.063
Cu 0.750 0.851 0.563
Cu 0.750 0.351 0.937
Ge 0.250 0.761 0.377
Ge 0.250 0.261 0.123
Ge 0.750 0.239 0.623
Ge 0.750 0.739 0.877
```

---

This record from Materials Project describes a relaxed structure of Dy3Al. The functional is PBE-GGA. Values from VASP.

## Properties
E_form: -0.196 eV per atom
E_tot: -4.5878 eV per atom
V: 213.9 Å³/cell

The structure in Quantum ESPRESSO input format:
```
&SYSTEM
  ibrav = 0, nat = 8, ntyp = 2
/
ATOMIC_SPECIES
Dy 162.50 Dy.upf
Al 26.98 Al.upf
CELL_PARAMETERS angstrom
3.416 -5.917 0.000
3.416 5.917 0.000
0.000 0.000 5.292
ATOMIC_POSITIONS crystal
Dy 0.825 0.175 0.750
Dy 0.350 0.175 0.750
Dy 0.825 0.650 0.750
Dy 0.175 0.825 0.250
Dy 0.175 0.350 0.250
Dy 0.650 0.825 0.250
Al 0.667 0.333 0.250
Al 0.333 0.667 0.750
```

---

This record from Materials Project describes a relaxed structure of TlC4S4N. The functional is PBE-GGA. Values from VASP.

## Properties
E_form: 0.406 eV per atom
E_tot: -5.7726 eV per atom
V: 607.8 Å³/cell
Excess energy over the best structure of this formula in the dataset: 11.2 kJ per mole of atoms

The structure in Quantum ESPRESSO input format:
```
&SYSTEM
  ibrav = 0, nat = 20, ntyp = 4
/
ATOMIC_SPECIES
Tl 204.38 Tl.upf
C 12.01 C.upf
S 32.06 S.upf
N 14.01 N.upf
CELL_PARAMETERS angstrom
7.001 0.000 0.000
-1.102 9.560 0.000
-0.671 -4.014 9.081
ATOMIC_POSITIONS crystal
Tl 0.250 0.366 0.546
Tl 0.750 0.634 0.454
C 0.119 0.791 0.985
C 0.881 0.209 0.015
C 0.994 0.791 0.070
C 0.006 0.209 0.930
C 0.260 0.785 0.906
C 0.740 0.215 0.094
C 0.777 0.781 0.254
C 0.223 0.219 0.746
S 0.567 0.230 0.188
S 0.433 0.770 0.812
S 0.669 0.469 0.671
S 0.331 0.531 0.329
S 0.536 0.126 0.402
S 0.464 0.874 0.598
S 0.731 0.255 0.574
S 0.269 0.745 0.426
N 0.881 0.786 0.164
N 0.119 0.214 0.836
```

---

This record from Materials Project describes a relaxed structure of LuB3H12. The functional is PBE-GGA. Values from VASP.

## Properties
E_form: -0.415 eV per atom
E_tot: -4.3606 eV per atom
V: 1197.7 Å³/cell
Excess energy over the best structure of this formula in the dataset: 0.3 kJ per mole of atoms

The structure in Quantum ESPRESSO input format:
```
&SYSTEM
  ibrav = 0, nat = 128, ntyp = 3
/
ATOMIC_SPECIES
Lu 174.97 Lu.upf
B 10.81 B.upf
H 1.01 H.upf
CELL_PARAMETERS angstrom
-6.979 7.183 3.532
-6.032 -7.800 3.945
5.262 0.586 9.206
ATOMIC_POSITIONS crystal
Lu 0.217 0.217 0.217
Lu 0.717 0.283 0.783
Lu 0.783 0.717 0.283
Lu 0.283 0.783 0.717
Lu 0.783 0.783 0.783
Lu 0.283 0.717 0.217
Lu 0.217 0.283 0.717
Lu 0.717 0.217 0.283
B 0.192 0.248 0.968
B 0.692 0.252 0.032
B 0.808 0.748 0.532
B 0.308 0.752 0.468
B 0.248 0.968 0.192
B 0.252 0.032 0.692
B 0.748 0.532 0.808
B 0.752 0.468 0.308
B 0.968 0.192 0.248
B 0.032 0.692 0.252
B 0.532 0.808 0.748
B 0.468 0.308 0.752
B 0.808 0.752 0.032
B 0.308 0.748 0.968
B 0.192 0.252 0.468
B 0.692 0.248 0.532
B 0.752 0.032 0.808
B 0.748 0.968 0.308
B 0.252 0.468 0.192
B 0.248 0.532 0.692
B 0.032 0.808 0.752
B 0.968 0.308 0.748
B 0.468 0.192 0.252
B 0.532 0.692 0.248
H 0.292 0.255 0.026
H 0.792 0.245 0.974
H 0.708 0.755 0.474
H 0.208 0.745 0.526
H 0.255 0.026 0.292
H 0.245 0.974 0.792
H 0.755 0.474 0.708
H 0.745 0.526 0.208
H 0.026 0.292 0.255
H 0.974 0.792 0.245
H 0.474 0.708 0.755
H 0.526 0.208 0.745
H 0.708 0.745 0.974
H 0.208 0.755 0.026
H 0.292 0.245 0.526
H 0.792 0.255 0.474
H 0.745 0.974 0.708
H 0.755 0.026 0.208
H 0.245 0.526 0.292
H 0.255 0.474 0.792
H 0.974 0.708 0.745
H 0.026 0.208 0.755
H 0.526 0.292 0.245
H 0.474 0.792 0.255
H 0.101 0.224 0.036
H 0.601 0.276 0.964
H 0.899 0.724 0.464
H 0.399 0.776 0.536
H 0.224 0.036 0.101
H 0.276 0.964 0.601
H 0.724 0.464 0.899
H 0.776 0.536 0.399
H 0.036 0.101 0.224
H 0.964 0.601 0.276
H 0.464 0.899 0.724
H 0.536 0.399 0.776
H 0.899 0.776 0.964
H 0.399 0.724 0.036
H 0.101 0.276 0.536
H 0.601 0.224 0.464
H 0.776 0.964 0.899
H 0.724 0.036 0.399
H 0.276 0.536 0.101
H 0.224 0.464 0.601
H 0.964 0.899 0.776
H 0.036 0.399 0.724
H 0.536 0.101 0.276
H 0.464 0.601 0.224
H 0.173 0.350 0.918
H 0.673 0.150 0.082
H 0.827 0.850 0.582
H 0.327 0.650 0.418
H 0.350 0.918 0.173
H 0.150 0.082 0.673
H 0.850 0.582 0.827
H 0.650 0.418 0.327
H 0.918 0.173 0.350
H 0.082 0.673 0.150
H 0.582 0.827 0.850
H 0.418 0.327 0.650
H 0.827 0.650 0.082
H 0.327 0.850 0.918
H 0.173 0.150 0.418
H 0.673 0.350 0.582
H 0.650 0.082 0.827
H 0.850 0.918 0.327
H 0.150 0.418 0.173
H 0.350 0.582 0.673
H 0.082 0.827 0.650
H 0.918 0.327 0.850
H 0.418 0.173 0.150
H 0.582 0.673 0.350
H 0.202 0.161 0.892
H 0.702 0.339 0.108
H 0.798 0.661 0.608
H 0.298 0.839 0.392
H 0.161 0.892 0.202
H 0.339 0.108 0.702
H 0.661 0.608 0.798
H 0.839 0.392 0.298
H 0.892 0.202 0.161
H 0.108 0.702 0.339
H 0.608 0.798 0.661
H 0.392 0.298 0.839
H 0.798 0.839 0.108
H 0.298 0.661 0.892
H 0.202 0.339 0.392
H 0.702 0.161 0.608
H 0.839 0.108 0.798
H 0.661 0.892 0.298
H 0.339 0.392 0.202
H 0.161 0.608 0.702
H 0.108 0.798 0.839
H 0.892 0.298 0.661
H 0.392 0.202 0.339
H 0.608 0.702 0.161
```

---

This record from Materials Project describes a relaxed structure of Nb2Tl2O7. The functional is PBE-GGA. Values from VASP.

## Properties
E_form: -2.304 eV per atom
E_tot: -7.2814 eV per atom
V: 312.7 Å³/cell

The structure in Quantum ESPRESSO input format:
```
&SYSTEM
  ibrav = 0, nat = 22, ntyp = 3
/
ATOMIC_SPECIES
Nb 92.91 Nb.upf
Tl 204.38 Tl.upf
O 16.00 O.upf
CELL_PARAMETERS angstrom
0.000 5.387 5.387
5.387 0.000 5.387
5.387 5.387 0.000
ATOMIC_POSITIONS crystal
Nb 0.625 0.125 0.625
Nb 0.625 0.625 0.625
Nb 0.625 0.625 0.125
Nb 0.125 0.625 0.625
Tl 0.625 0.125 0.125
Tl 0.125 0.125 0.125
Tl 0.125 0.125 0.625
Tl 0.125 0.625 0.125
O 0.937 0.563 0.937
O 0.687 0.313 0.687
O 0.687 0.313 0.313
O 0.937 0.563 0.563
O 0.313 0.313 0.687
O 0.687 0.687 0.313
O 0.937 0.937 0.563
O 0.000 0.000 0.000
O 0.313 0.687 0.313
O 0.313 0.687 0.687
O 0.563 0.563 0.937
O 0.250 0.250 0.250
O 0.563 0.937 0.937
O 0.563 0.937 0.563
```

---

This record from Materials Project describes a relaxed structure of MoP2NCl12. The functional is PBE-GGA. Values from VASP.

## Properties
E_form: -1.157 eV per atom
E_tot: -3.9587 eV per atom
V: 1916.4 Å³/cell

The structure in Quantum ESPRESSO input format:
```
&SYSTEM
  ibrav = 0, nat = 64, ntyp = 4
/
ATOMIC_SPECIES
Mo 95.94 Mo.upf
P 30.97 P.upf
N 14.01 N.upf
Cl 35.45 Cl.upf
CELL_PARAMETERS angstrom
21.825 0.000 0.000
0.000 8.446 0.000
0.000 2.081 10.396
ATOMIC_POSITIONS crystal
Mo 0.892 0.156 0.805
Mo 0.608 0.156 0.305
Mo 0.108 0.844 0.195
Mo 0.392 0.844 0.695
P 0.330 0.311 0.129
P 0.670 0.689 0.871
P 0.898 0.444 0.262
P 0.398 0.556 0.238
P 0.170 0.311 0.629
P 0.602 0.444 0.762
P 0.830 0.689 0.371
P 0.102 0.556 0.738
N 0.621 0.556 0.858
N 0.379 0.444 0.142
N 0.879 0.556 0.358
N 0.121 0.444 0.642
Cl 0.328 0.685 0.283
Cl 0.747 0.598 0.414
Cl 0.038 0.710 0.663
Cl 0.797 0.126 0.915
Cl 0.895 0.875 0.819
Cl 0.605 0.875 0.319
Cl 0.336 0.812 0.890
Cl 0.569 0.566 0.598
Cl 0.753 0.598 0.914
Cl 0.431 0.434 0.402
Cl 0.110 0.562 0.219
Cl 0.680 0.857 0.713
Cl 0.836 0.188 0.610
Cl 0.828 0.315 0.217
Cl 0.014 0.830 0.306
Cl 0.703 0.126 0.415
Cl 0.941 0.137 0.002
Cl 0.647 0.803 0.009
Cl 0.180 0.143 0.787
Cl 0.514 0.170 0.194
Cl 0.105 0.125 0.181
Cl 0.672 0.315 0.717
Cl 0.610 0.438 0.281
Cl 0.664 0.188 0.110
Cl 0.820 0.857 0.213
Cl 0.353 0.197 0.991
Cl 0.962 0.290 0.337
Cl 0.203 0.874 0.085
Cl 0.559 0.137 0.502
Cl 0.462 0.710 0.163
Cl 0.164 0.812 0.390
Cl 0.395 0.125 0.681
Cl 0.059 0.863 0.998
Cl 0.486 0.830 0.806
Cl 0.297 0.874 0.585
Cl 0.986 0.170 0.694
Cl 0.253 0.402 0.586
Cl 0.931 0.566 0.098
Cl 0.147 0.197 0.491
Cl 0.890 0.438 0.781
Cl 0.320 0.143 0.287
Cl 0.069 0.434 0.902
Cl 0.172 0.685 0.783
Cl 0.441 0.863 0.498
Cl 0.853 0.803 0.509
Cl 0.247 0.402 0.086
Cl 0.538 0.290 0.837
Cl 0.390 0.562 0.719
```

---

Among the records above, which one has the lowest V? LaCo2

---

V of number 6 (Dy3Al)? 213.9 Å³/cell

---

Among the records above, which one has the highest E_form? TlC4S4N

---

Among the records above, which one has the highest E_form? TlC4S4N